Entry 1:
# PBE-GGA LiSnPO4, relaxed
data_LiSnPO4
_symmetry_space_group_name_H-M 'P 1'
_symmetry_Int_Tables_number 1
_cell_length_a 5.593
_cell_length_b 8.154
_cell_length_c 9.441
_cell_angle_alpha 76.68
_cell_angle_beta 89.18
_cell_angle_gamma 79.58
loop_
_symmetry_equiv_pos_as_xyz
'x,y,z'
loop_
_atom_site_label
_atom_site_type_symbol
_atom_site_fract_x
_atom_site_fract_y
_atom_site_fract_z
Li1 Li 0.132 0.491 0.370
Li2 Li 0.251 0.962 0.184
Li3 Li 0.749 0.038 0.816
Li4 Li 0.868 0.509 0.630
Sn1 Sn 0.233 0.654 0.908
Sn2 Sn 0.248 0.127 0.610
Sn3 Sn 0.752 0.873 0.390
Sn4 Sn 0.767 0.346 0.092
P1 P 0.184 0.247 0.894
P2 P 0.289 0.750 0.547
P3 P 0.711 0.250 0.453
P4 P 0.816 0.753 0.106
O1 O 0.008 0.827 0.175
O2 O 0.103 0.646 0.508
O3 O 0.119 0.448 0.829
O4 O 0.151 0.217 0.065
O5 O 0.198 0.810 0.691
O6 O 0.277 0.920 0.427
O7 O 0.437 0.168 0.854
O8 O 0.447 0.346 0.429
O9 O 0.553 0.654 0.571
O10 O 0.563 0.832 0.146
O11 O 0.723 0.080 0.573
O12 O 0.802 0.190 0.309
O13 O 0.849 0.783 0.935
O14 O 0.881 0.552 0.171
O15 O 0.897 0.354 0.492
O16 O 0.992 0.173 0.825
# ΔH_f (0 K) in eV/f.u.: -16.76

---

Entry 2:
# PBE-GGA LiSn4P3O12, relaxed
data_LiSn4P3O12
_symmetry_space_group_name_H-M 'P 1'
_symmetry_Int_Tables_number 1
_cell_length_a 9.695
_cell_length_b 9.695
_cell_length_c 7.106
_cell_angle_alpha 90.00
_cell_angle_beta 90.00
_cell_angle_gamma 120.00
loop_
_symmetry_equiv_pos_as_xyz
'x,y,z'
loop_
_atom_site_label
_atom_site_type_symbol
_atom_site_fract_x
_atom_site_fract_y
_atom_site_fract_z
Li1 Li 0.333 0.667 0.000
Li2 Li 0.667 0.333 0.500
Sn1 Sn 0.017 0.259 0.710
Sn2 Sn 0.242 0.983 0.710
Sn3 Sn 0.259 0.242 0.210
Sn4 Sn 0.333 0.667 0.434
Sn5 Sn 0.667 0.333 0.934
Sn6 Sn 0.741 0.758 0.710
Sn7 Sn 0.758 0.017 0.210
Sn8 Sn 0.983 0.741 0.210
P1 P 0.017 0.615 0.714
P2 P 0.385 0.402 0.714
P3 P 0.402 0.017 0.214
P4 P 0.598 0.983 0.714
P5 P 0.615 0.598 0.214
P6 P 0.983 0.385 0.214
O1 O 0.072 0.728 0.888
O2 O 0.086 0.728 0.540
O3 O 0.098 0.510 0.725
O4 O 0.166 0.492 0.200
O5 O 0.272 0.344 0.888
O6 O 0.272 0.357 0.540
O7 O 0.326 0.834 0.200
O8 O 0.344 0.072 0.388
O9 O 0.357 0.086 0.040
O10 O 0.411 0.902 0.725
O11 O 0.490 0.589 0.725
O12 O 0.492 0.326 0.700
O13 O 0.508 0.674 0.200
O14 O 0.510 0.411 0.225
O15 O 0.589 0.098 0.225
O16 O 0.643 0.914 0.540
O17 O 0.656 0.928 0.888
O18 O 0.674 0.166 0.700
O19 O 0.728 0.643 0.040
O20 O 0.728 0.656 0.388
O21 O 0.834 0.508 0.700
O22 O 0.902 0.490 0.225
O23 O 0.914 0.272 0.040
O24 O 0.928 0.272 0.388
# Energy above the lowest structure with this stoichiometry in eV/atom: 0.009
# ΔH_f (0 K) in eV/f.u.: -46.37

---

Entry 3:
# PBE-GGA LiSn4P3O12, relaxed
data_LiSn4P3O12
_symmetry_space_group_name_H-M 'P 1'
_symmetry_Int_Tables_number 1
_cell_length_a 10.005
_cell_length_b 10.005
_cell_length_c 10.005
_cell_angle_alpha 58.55
_cell_angle_beta 58.55
_cell_angle_gamma 58.55
loop_
_symmetry_equiv_pos_as_xyz
'x,y,z'
loop_
_atom_site_label
_atom_site_type_symbol
_atom_site_fract_x
_atom_site_fract_y
_atom_site_fract_z
Li1 Li 0.000 0.000 0.000
Li2 Li 0.500 0.500 0.500
Sn1 Sn 0.286 0.415 0.956
Sn2 Sn 0.353 0.353 0.353
Sn3 Sn 0.415 0.956 0.286
Sn4 Sn 0.456 0.915 0.786
Sn5 Sn 0.786 0.456 0.915
Sn6 Sn 0.853 0.853 0.853
Sn7 Sn 0.915 0.786 0.456
Sn8 Sn 0.956 0.286 0.415
P1 P 0.214 0.309 0.752
P2 P 0.252 0.809 0.714
P3 P 0.309 0.752 0.214
P4 P 0.714 0.252 0.809
P5 P 0.752 0.214 0.309
P6 P 0.809 0.714 0.252
O1 O 0.043 0.388 0.871
O2 O 0.068 0.923 0.728
O3 O 0.132 0.785 0.232
O4 O 0.228 0.423 0.568
O5 O 0.232 0.132 0.785
O6 O 0.285 0.632 0.732
O7 O 0.287 0.800 0.854
O8 O 0.300 0.787 0.354
O9 O 0.354 0.300 0.787
O10 O 0.371 0.888 0.543
O11 O 0.388 0.871 0.043
O12 O 0.423 0.568 0.228
O13 O 0.543 0.371 0.888
O14 O 0.568 0.228 0.423
O15 O 0.632 0.732 0.285
O16 O 0.728 0.068 0.923
O17 O 0.732 0.285 0.632
O18 O 0.785 0.232 0.132
O19 O 0.787 0.354 0.300
O20 O 0.800 0.854 0.287
O21 O 0.854 0.287 0.800
O22 O 0.871 0.043 0.388
O23 O 0.888 0.543 0.371
O24 O 0.923 0.728 0.068
# Energy above the lowest structure with this stoichiometry in eV/atom: 0.000
# ΔH_f (0 K) in eV/f.u.: -46.55